# Ba2SnSe4O5, optimized geometry, DFT PBE-GGA
data_Ba2SnSe4O5
_cell_length_a 6.163
_cell_length_b 12.969
_cell_length_c 14.569
_cell_angle_alpha 90.00
_cell_angle_beta 90.00
_cell_angle_gamma 90.00
_symmetry_space_group_name_H-M 'P 1'
_symmetry_Int_Tables_number 1
_symmetry_space_group_name_Hall 'P 1'
loop_
_atom_site_label
_atom_site_type_symbol
_atom_site_fract_x
_atom_site_fract_y
_atom_site_fract_z
Ba1 Ba 0.613 0.590 0.106
Ba2 Ba 0.887 0.910 0.606
Ba3 Ba 0.387 0.090 0.894
Ba4 Ba 0.113 0.410 0.394
Ba5 Ba 0.387 0.410 0.894
Ba6 Ba 0.113 0.090 0.394
Ba7 Ba 0.613 0.910 0.106
Ba8 Ba 0.887 0.590 0.606
Sn1 Sn 0.411 0.750 0.341
Sn2 Sn 0.089 0.750 0.841
Sn3 Sn 0.589 0.250 0.659
Sn4 Sn 0.911 0.250 0.159
Se1 Se 0.574 0.553 0.355
Se2 Se 0.926 0.947 0.855
Se3 Se 0.426 0.053 0.645
Se4 Se 0.074 0.447 0.145
Se5 Se 0.426 0.447 0.645
Se6 Se 0.074 0.053 0.145
Se7 Se 0.574 0.947 0.355
Se8 Se 0.926 0.553 0.855
Se9 Se 0.998 0.750 0.380
Se10 Se 0.502 0.750 0.880
Se11 Se 0.002 0.250 0.620
Se12 Se 0.498 0.250 0.120
Se13 Se 0.372 0.750 0.614
Se14 Se 0.128 0.750 0.114
Se15 Se 0.628 0.250 0.386
Se16 Se 0.872 0.250 0.886
O1 O 0.724 0.534 0.940
O2 O 0.776 0.966 0.440
O3 O 0.276 0.034 0.060
O4 O 0.224 0.466 0.560
O5 O 0.276 0.466 0.060
O6 O 0.224 0.034 0.560
O7 O 0.724 0.966 0.940
O8 O 0.776 0.534 0.440
O9 O 0.515 0.750 0.003
O10 O 0.985 0.750 0.503
O11 O 0.485 0.250 0.997
O12 O 0.015 0.250 0.497
O13 O 0.364 0.750 0.199
O14 O 0.136 0.750 0.699
O15 O 0.636 0.250 0.801
O16 O 0.864 0.250 0.301
O17 O 0.879 0.750 0.172
O18 O 0.621 0.750 0.672
O19 O 0.121 0.250 0.828
O20 O 0.379 0.250 0.328
# - DFT formation energy: -17.12 eV/f.u.
# - Space-group type: Pnma, No. 62
# - Density: 4.5 g/cm3
# - Uncorrected energy: -241.01 eV/cell
# - Total moment: 0.00 μB per formula unit